[1]
Na7Ca2SiSn2P5O24 | PBE | relaxed

Structure (POSCAR):
```
Na7Ca2SiSn2P5O24
1.0
9.293 0.003 -0.006
-4.643 8.061 0.008
-0.017 0.014 22.279
Na Ca Si Sn P O
21 6 3 6 15 72
direct
0.347 0.358 0.256
0.014 0.642 0.254
0.633 0.654 0.752
0.005 0.359 0.758
0.355 0.989 0.753
0.297 0.307 0.584
0.022 0.698 0.587
0.675 0.982 0.594
0.302 0.982 0.088
0.691 0.702 0.085
0.017 0.328 0.090
0.970 0.654 0.929
0.691 0.036 0.920
0.968 0.313 0.421
0.346 0.028 0.428
0.993 0.982 0.503
0.018 0.007 0.002
0.646 0.332 0.836
0.665 0.336 0.336
0.354 0.689 0.170
0.344 0.681 0.669
0.000 0.001 0.651
0.993 0.996 0.152
0.659 0.335 0.981
0.664 0.339 0.480
0.346 0.676 0.314
0.333 0.664 0.818
0.701 0.012 0.747
0.369 0.024 0.579
0.976 0.631 0.080
0.994 0.997 0.350
0.000 0.004 0.851
0.665 0.329 0.684
0.671 0.332 0.184
0.331 0.661 0.016
0.343 0.672 0.516
0.310 0.018 0.248
0.706 0.686 0.245
0.983 0.294 0.249
0.308 0.292 0.747
0.983 0.690 0.749
0.976 0.350 0.580
0.653 0.624 0.585
0.651 0.028 0.079
0.374 0.347 0.087
0.646 0.685 0.913
0.037 0.353 0.916
0.316 0.959 0.913
0.646 0.962 0.418
0.314 0.355 0.412
0.044 0.683 0.412
0.215 0.043 0.303
0.831 0.793 0.298
0.973 0.188 0.307
0.209 0.166 0.800
0.964 0.784 0.806
0.828 0.038 0.807
0.779 0.992 0.686
0.225 0.225 0.687
0.015 0.790 0.692
0.773 0.762 0.184
0.996 0.216 0.192
0.222 0.011 0.189
0.888 0.377 0.637
0.492 0.125 0.638
0.632 0.522 0.646
0.877 0.503 0.139
0.619 0.121 0.133
0.479 0.369 0.146
0.449 0.303 0.035
0.875 0.552 0.020
0.668 0.114 0.019
0.447 0.124 0.518
0.687 0.541 0.534
0.881 0.334 0.523
0.548 0.699 0.970
0.144 0.449 0.973
0.294 0.841 0.969
0.565 0.863 0.479
0.300 0.451 0.470
0.163 0.707 0.468
0.123 0.674 0.354
0.533 0.874 0.366
0.314 0.440 0.354
0.116 0.444 0.858
0.322 0.879 0.855
0.564 0.686 0.855
0.039 0.852 0.414
0.819 0.968 0.415
0.144 0.181 0.416
0.028 0.179 0.918
0.147 0.964 0.916
0.820 0.853 0.919
0.003 0.201 0.586
0.179 0.988 0.584
0.792 0.805 0.589
0.011 0.820 0.085
0.801 0.004 0.088
0.190 0.215 0.092
0.704 0.194 0.749
0.482 0.300 0.750
0.808 0.524 0.748
0.707 0.516 0.251
0.818 0.304 0.251
0.484 0.185 0.250
0.676 0.538 0.917
0.861 0.327 0.920
0.469 0.130 0.919
0.680 0.141 0.420
0.460 0.322 0.415
0.873 0.530 0.418
0.391 0.525 0.080
0.159 0.631 0.081
0.485 0.852 0.080
0.370 0.843 0.581
0.477 0.613 0.581
0.151 0.517 0.579
0.325 0.863 0.253
0.528 0.650 0.253
0.134 0.471 0.253
0.331 0.466 0.756
0.122 0.648 0.756
0.513 0.857 0.753
```

Summary:
magnetic moment = 0.0 μB per formula unit
crystal system = triclinic
corrected total energy (MP2020 scheme) = -6.8799 eV/atom
SG = P1, No. 1
total DFT energy (no corrections) = -6.478 eV per atom

---

[2]
Na8CaSi4Sn3P2O24 | PBE | relaxed

Structure (POSCAR):
```
Na8CaSi4Sn3P2O24
1.0
9.213 -0.002 0.005
-4.608 7.989 0.004
0.013 0.019 22.544
Na Ca Si Sn P O
24 3 12 9 6 72
direct
0.639 0.011 0.240
0.372 0.362 0.242
0.990 0.627 0.242
0.636 0.623 0.747
0.984 0.368 0.752
0.382 0.006 0.745
0.314 0.337 0.585
0.028 0.697 0.584
0.661 0.971 0.591
0.310 0.972 0.081
0.661 0.690 0.081
0.028 0.339 0.081
0.965 0.665 0.917
0.700 0.036 0.917
0.335 0.301 0.920
0.972 0.294 0.414
0.319 0.035 0.418
0.711 0.672 0.415
0.006 0.998 0.498
0.000 0.000 0.000
0.673 0.333 0.831
0.667 0.337 0.331
0.333 0.666 0.159
0.340 0.676 0.669
0.002 0.000 0.353
0.665 0.333 0.684
0.666 0.333 0.177
0.008 0.710 0.753
0.706 0.994 0.752
0.366 0.033 0.583
0.666 0.637 0.583
0.969 0.634 0.084
0.665 0.030 0.083
0.366 0.336 0.084
0.626 0.664 0.916
0.039 0.373 0.916
0.336 0.964 0.916
0.341 0.379 0.418
0.035 0.656 0.418
0.997 0.998 0.854
0.999 0.993 0.649
0.000 0.999 0.148
0.667 0.334 0.983
0.665 0.338 0.484
0.333 0.667 0.015
0.333 0.668 0.518
0.330 0.663 0.317
0.336 0.671 0.816
0.296 0.992 0.252
0.697 0.706 0.252
0.007 0.302 0.252
0.283 0.292 0.752
0.966 0.332 0.583
0.619 0.963 0.418
0.218 0.012 0.309
0.795 0.784 0.309
0.987 0.204 0.308
0.199 0.184 0.807
0.984 0.802 0.811
0.824 0.025 0.810
0.792 0.967 0.691
0.176 0.211 0.694
0.043 0.825 0.692
0.784 0.818 0.196
0.032 0.213 0.196
0.183 0.965 0.196
0.895 0.368 0.637
0.479 0.097 0.641
0.621 0.524 0.642
0.907 0.529 0.144
0.621 0.093 0.144
0.471 0.379 0.144
0.452 0.295 0.026
0.842 0.548 0.026
0.706 0.158 0.026
0.454 0.155 0.524
0.708 0.553 0.525
0.851 0.298 0.526
0.544 0.703 0.973
0.158 0.454 0.974
0.294 0.842 0.973
0.537 0.854 0.473
0.316 0.469 0.476
0.155 0.689 0.476
0.119 0.625 0.358
0.509 0.882 0.361
0.379 0.497 0.358
0.121 0.493 0.857
0.376 0.884 0.857
0.506 0.624 0.857
0.007 0.815 0.418
0.794 0.984 0.414
0.177 0.196 0.418
0.021 0.186 0.912
0.170 0.988 0.912
0.814 0.832 0.913
0.984 0.172 0.587
0.182 0.026 0.587
0.838 0.824 0.586
0.984 0.821 0.088
0.837 0.016 0.088
0.179 0.162 0.089
0.681 0.155 0.751
0.457 0.311 0.749
0.843 0.528 0.751
0.672 0.529 0.247
0.854 0.326 0.247
0.473 0.145 0.247
0.644 0.496 0.922
0.853 0.356 0.922
0.505 0.150 0.922
0.631 0.137 0.422
0.514 0.365 0.421
0.854 0.476 0.422
0.340 0.498 0.074
0.157 0.659 0.074
0.502 0.843 0.074
0.334 0.840 0.575
0.502 0.664 0.575
0.145 0.487 0.575
0.307 0.825 0.254
0.521 0.699 0.253
0.176 0.478 0.252
0.293 0.466 0.754
0.182 0.697 0.754
0.524 0.814 0.754
```

Summary:
magnetic moment = 0.0 μB per formula unit
crystal system = triclinic
corrected total energy (MP2020 scheme) = -6.8223 eV/atom
SG = P1, No. 1
total DFT energy (no corrections) = -6.430 eV per atom

---

[3]
Na5CaSiSn3P5O24 | PBE | relaxed

Structure (POSCAR):
```
Na5CaSiSn3P5O24
1.0
9.057 0.005 0.006
-4.524 7.822 0.001
0.016 0.013 22.737
Na Ca Si Sn P O
15 3 3 9 15 72
direct
0.645 0.012 0.243
0.368 0.356 0.243
0.989 0.634 0.244
0.631 0.622 0.749
0.991 0.368 0.749
0.380 0.011 0.744
0.659 0.977 0.583
0.332 0.306 0.925
0.324 0.033 0.416
0.002 0.001 0.497
0.981 0.988 0.002
0.682 0.339 0.842
0.679 0.345 0.332
0.334 0.667 0.157
0.322 0.663 0.660
0.992 0.000 0.356
0.665 0.334 0.679
0.669 0.334 0.173
0.363 0.028 0.583
0.628 0.664 0.917
0.035 0.374 0.916
0.995 0.996 0.858
0.006 0.000 0.645
0.999 0.001 0.146
0.675 0.338 0.985
0.667 0.338 0.484
0.335 0.666 0.016
0.329 0.661 0.518
0.332 0.664 0.318
0.332 0.664 0.822
0.293 0.993 0.253
0.701 0.708 0.251
0.007 0.300 0.250
0.282 0.291 0.753
0.011 0.718 0.753
0.709 0.992 0.751
0.969 0.333 0.585
0.667 0.637 0.584
0.977 0.643 0.083
0.664 0.026 0.083
0.359 0.333 0.083
0.337 0.963 0.916
0.620 0.964 0.420
0.347 0.380 0.419
0.036 0.654 0.418
0.222 0.019 0.310
0.808 0.783 0.305
0.977 0.193 0.305
0.200 0.181 0.808
0.984 0.805 0.807
0.826 0.017 0.804
0.784 0.961 0.693
0.167 0.208 0.698
0.041 0.828 0.697
0.782 0.826 0.195
0.043 0.218 0.195
0.171 0.960 0.199
0.909 0.366 0.643
0.470 0.090 0.643
0.640 0.547 0.643
0.915 0.553 0.142
0.641 0.089 0.143
0.451 0.355 0.140
0.451 0.308 0.028
0.854 0.548 0.031
0.690 0.149 0.031
0.459 0.151 0.525
0.701 0.549 0.531
0.843 0.301 0.533
0.536 0.701 0.970
0.171 0.466 0.968
0.302 0.843 0.968
0.527 0.856 0.475
0.328 0.474 0.471
0.153 0.676 0.470
0.111 0.628 0.359
0.509 0.882 0.363
0.366 0.480 0.359
0.106 0.481 0.853
0.368 0.892 0.857
0.515 0.625 0.854
0.027 0.817 0.418
0.796 0.986 0.420
0.196 0.199 0.419
0.034 0.190 0.911
0.180 0.989 0.910
0.819 0.829 0.913
0.969 0.159 0.587
0.175 0.014 0.585
0.824 0.824 0.586
0.990 0.823 0.086
0.830 0.010 0.085
0.179 0.166 0.084
0.689 0.150 0.749
0.460 0.314 0.749
0.854 0.539 0.750
0.668 0.525 0.243
0.857 0.332 0.244
0.474 0.145 0.245
0.631 0.483 0.924
0.844 0.346 0.924
0.493 0.144 0.923
0.625 0.140 0.422
0.515 0.371 0.422
0.858 0.489 0.424
0.338 0.492 0.075
0.156 0.665 0.073
0.504 0.848 0.074
0.346 0.838 0.575
0.510 0.662 0.574
0.152 0.482 0.574
0.303 0.821 0.255
0.521 0.699 0.255
0.179 0.480 0.254
0.295 0.472 0.755
0.179 0.708 0.756
0.528 0.826 0.756
```

Summary:
magnetic moment = 0.0 μB per formula unit
crystal system = triclinic
corrected total energy (MP2020 scheme) = -7.0189 eV/atom
SG = P1, No. 1
total DFT energy (no corrections) = -6.596 eV per atom

---

The highest corrected total energy (MP2020 scheme) belongs to which entry?
Na8CaSi4Sn3P2O24

---

What is the total DFT energy (no corrections) in the third record?
-6.596 eV per atom

---

What is the magnetic moment in the third record?
0.0 μB per formula unit